Computed, not measured: crystalline ReOs3 at its relaxed geometry at the r2SCAN level of DFT.

Geometry as CIF:
```
data_ReOs3
_space_group_name_H-M_alt 'P 63/m m c'
_space_group_IT_number 194
_space_group_name_Hall '-P 6c 2c'
_cell_length_a 5.5100
_cell_length_b 5.5100
_cell_length_c 4.3413
_cell_angle_alpha 90.00
_cell_angle_beta 90.00
_cell_angle_gamma 120.00
loop_
_atom_site_label
_atom_site_type_symbol
_atom_site_fract_x
_atom_site_fract_y
_atom_site_fract_z
Re1 Re 0.3333 0.6667 0.2500
Os1 Os 0.1672 0.3344 0.7500
```

Final energy ... -52.9318 eV/atom
Size of the total moment ... 0.00 μB per cell